1.
Entry from the Materials Project: K3Pb2Cl8 after structural relaxation (PBE-GGA).

## Properties
volume = 39.76 A^3/atom
total moment = 1.00 μB/f.u.
calculated formation energy = -1789 meV per atom
corrected total energy (MP2020 scheme) = -48.81 eV/cell
space-group type = No. 2
uncorrected energy = -43.9 eV per cell

abc: 8.6902 8.9989 9.0192
angles: 61.52 61.36 61.99
Sites, in units of the cell vectors:
1 K 0.0000 0.0000 0.0000
2 K 0.0000 0.5000 0.5000
3 K 0.5000 0.5000 0.5000
4 Pb 0.5000 0.0000 0.5000
5 Pb 0.0000 0.0000 0.5000
6 Cl 0.2704 0.2324 0.7087
7 Cl 0.7296 0.7676 0.2913
8 Cl 0.2068 0.7834 0.2950
9 Cl 0.7932 0.2166 0.7050
10 Cl 0.7639 0.2082 0.2922
11 Cl 0.2361 0.7918 0.7078
12 Cl 0.2358 0.2009 0.2968
13 Cl 0.7642 0.7991 0.7032

2.
Entry from the Materials Project: K2PrCl5 after structural relaxation (PBE-GGA).

## Properties
volume = 29.43 A^3/atom
calculated formation energy = -2550 meV per atom
corrected total energy (MP2020 scheme) = -146.59 eV/cell
space-group type = No. 62
uncorrected energy = -134.3 eV per cell

abc: 8.1623 8.8511 13.0337
angles: 90.00 90.00 90.00
Sites, in units of the cell vectors:
1 K 0.9505 0.4951 0.8280
2 K 0.9505 0.0049 0.8280
3 K 0.4505 0.5049 0.6720
4 K 0.4505 0.9951 0.6720
5 K 0.0495 0.5049 0.1720
6 K 0.5495 0.4951 0.3280
7 K 0.0495 0.9951 0.1720
8 K 0.5495 0.0049 0.3280
9 Pr 0.0762 0.2500 0.4945
10 Pr 0.9238 0.7500 0.5055
11 Pr 0.4238 0.2500 0.9945
12 Pr 0.5762 0.7500 0.0055
13 Cl 0.8366 0.0428 0.5777
14 Cl 0.6634 0.0428 0.0777
15 Cl 0.1634 0.5428 0.4223
16 Cl 0.5785 0.7500 0.5078
17 Cl 0.4215 0.2500 0.4922
18 Cl 0.1634 0.9572 0.4223
19 Cl 0.9215 0.7500 0.0078
20 Cl 0.3366 0.5428 0.9223
21 Cl 0.3366 0.9572 0.9223
22 Cl 0.8366 0.7500 0.2964
23 Cl 0.1634 0.2500 0.7036
24 Cl 0.8366 0.4572 0.5777
25 Cl 0.3366 0.2500 0.2036
26 Cl 0.8735 0.2500 0.3210
27 Cl 0.0785 0.2500 0.9922
28 Cl 0.6634 0.7500 0.7964
29 Cl 0.6265 0.2500 0.8210
30 Cl 0.6634 0.4572 0.0777
31 Cl 0.3735 0.7500 0.1790
32 Cl 0.1265 0.7500 0.6790

3.
Entry from the Materials Project: K2PuCl6 after structural relaxation (PBE-GGA).

## Properties
volume = 32.23 A^3/atom
total moment = 4.00 μB/f.u.
calculated formation energy = -2257 meV per atom
corrected total energy (MP2020 scheme) = -47.89 eV/cell
space-group type = No. 12
uncorrected energy = -44.2 eV per cell

abc: 7.4089 7.4089 7.4317
angles: 90.47 119.67 119.69
Sites, in units of the cell vectors:
1 K 0.4908 0.7274 0.2182
2 K 0.5092 0.2726 0.7818
3 Pu 0.0000 0.0000 0.0000
4 Cl 0.0093 0.7523 0.7617
5 Cl 0.9907 0.2477 0.2383
6 Cl 0.4917 0.2526 0.2443
7 Cl 0.0083 0.2474 0.7557
8 Cl 0.5083 0.7474 0.7557
9 Cl 0.9917 0.7526 0.2443

4.
Entry from the Materials Project: KRbCl2 after structural relaxation (PBE-GGA).

## Properties
volume = 35.10 A^3/atom
calculated formation energy = -2249 meV per atom
corrected total energy (MP2020 scheme) = -14.78 eV/cell
space-group type = No. 166
uncorrected energy = -13.6 eV per cell

abc: 8.0357 8.0357 8.0357
angles: 33.45 33.45 33.45
Sites, in units of the cell vectors:
1 K 0.0000 0.0000 0.0000
2 Rb 0.5000 0.5000 0.5000
3 Cl 0.2540 0.2540 0.2540
4 Cl 0.7460 0.7460 0.7460

5.
Entry from the Materials Project: KRbCl2 after structural relaxation (PBE-GGA).

## Properties
volume = 30.25 A^3/atom
total moment = 0.00 μB/f.u.
calculated formation energy = -2176 meV per atom
corrected total energy (MP2020 scheme) = -14.49 eV/cell
space-group type = No. 123
uncorrected energy = -13.3 eV per cell

abc: 5.5518 5.5518 3.9259
angles: 90.00 90.00 90.00
Sites, in units of the cell vectors:
1 K 0.0000 0.0000 0.0000
2 Rb 0.5000 0.5000 0.0000
3 Cl 0.0000 0.5000 0.5000
4 Cl 0.5000 0.0000 0.5000

6.
Entry from the Materials Project: K2RbSbCl6 after structural relaxation (PBE-GGA).

## Properties
volume = 38.03 A^3/atom
total moment = 0.01 μB/f.u.
calculated formation energy = -1819 meV per atom
corrected total energy (MP2020 scheme) = -36.61 eV/cell
space-group type = No. 225
uncorrected energy = -32.9 eV per cell

abc: 8.1323 8.1323 8.1323
angles: 60.00 60.00 60.00
Sites, in units of the cell vectors:
1 K 0.7500 0.7500 0.7500
2 K 0.2500 0.2500 0.2500
3 Rb 0.5000 0.5000 0.5000
4 Sb 0.0000 0.0000 0.0000
5 Cl 0.7690 0.2310 0.2310
6 Cl 0.2310 0.2310 0.7690
7 Cl 0.2310 0.7690 0.7690
8 Cl 0.2310 0.7690 0.2310
9 Cl 0.7690 0.2310 0.7690
10 Cl 0.7690 0.7690 0.2310

7.
Entry from the Materials Project: K2RbTaCl6 after structural relaxation (PBE-GGA).

## Properties
volume = 34.12 A^3/atom
total moment = 2.00 μB/f.u.
calculated formation energy = -1871 meV per atom
corrected total energy (MP2020 scheme) = -44.86 eV/cell
space-group type = No. 225
uncorrected energy = -41.2 eV per cell

abc: 7.8433 7.8433 7.8433
angles: 60.00 60.00 60.00
Sites, in units of the cell vectors:
1 K 0.7500 0.7500 0.7500
2 K 0.2500 0.2500 0.2500
3 Rb 0.5000 0.5000 0.5000
4 Ta 0.0000 0.0000 0.0000
5 Cl 0.7772 0.2228 0.2228
6 Cl 0.2228 0.2228 0.7772
7 Cl 0.2228 0.7772 0.7772
8 Cl 0.2228 0.7772 0.2228
9 Cl 0.7772 0.2228 0.7772
10 Cl 0.7772 0.7772 0.2228

8.
Entry from the Materials Project: KRb2TbCl6 after structural relaxation (PBE-GGA).

## Properties
volume = 35.99 A^3/atom
total moment = 0.00 μB/f.u.
calculated formation energy = -2468 meV per atom
corrected total energy (MP2020 scheme) = -43.48 eV/cell
space-group type = No. 225
uncorrected energy = -39.8 eV per cell

abc: 7.9844 7.9844 7.9844
angles: 60.00 60.00 60.00
Sites, in units of the cell vectors:
1 K 0.5000 0.5000 0.5000
2 Rb 0.7500 0.7500 0.7500
3 Rb 0.2500 0.2500 0.2500
4 Tb 0.0000 0.0000 0.0000
5 Cl 0.7656 0.2344 0.2344
6 Cl 0.2344 0.2344 0.7656
7 Cl 0.2344 0.7656 0.7656
8 Cl 0.2344 0.7656 0.2344
9 Cl 0.7656 0.2344 0.7656
10 Cl 0.7656 0.7656 0.2344